This record from the Materials Project describes a geometry-optimized Na14Nb4Al4Si11SO48 structure. The functional is PBE-GGA.

Cell lengths 8.943, 15.499, 22.014 Å; angles 90.20, 90.07, 90.02 degrees
Space group P1 (No. 1)
Asymmetric unit:
Na1 0.000 0.000 0.000 (multiplicity 1)
Na2 0.000 0.659 0.669 (multiplicity 1)
Na3 0.001 0.690 0.333 (multiplicity 1)
Na4 0.002 0.363 0.998 (multiplicity 1)
Na5 0.044 0.348 0.668 (multiplicity 1)
Na6 0.049 0.673 0.997 (multiplicity 1)
Na7 0.171 0.176 0.246 (multiplicity 1)
Na8 0.178 0.512 0.583 (multiplicity 1)
Na9 0.179 0.845 0.917 (multiplicity 1)
Na10 0.181 0.510 0.083 (multiplicity 1)
Na11 0.186 0.182 0.755 (multiplicity 1)
Na12 0.189 0.848 0.420 (multiplicity 1)
Na13 0.307 0.680 0.499 (multiplicity 1)
Na14 0.309 0.345 0.163 (multiplicity 1)
Na15 0.310 0.017 0.835 (multiplicity 1)
Na16 0.357 0.690 0.834 (multiplicity 1)
Na17 0.362 0.033 0.167 (multiplicity 1)
Na18 0.364 0.992 0.500 (multiplicity 1)
Na19 0.365 0.363 0.501 (multiplicity 1)
Na20 0.366 0.659 0.167 (multiplicity 1)
Na21 0.488 0.495 0.997 (multiplicity 1)
Na22 0.491 0.527 0.669 (multiplicity 1)
Na23 0.498 0.860 0.001 (multiplicity 1)
Na24 0.500 0.191 0.333 (multiplicity 1)
Na25 0.501 0.159 0.669 (multiplicity 1)
Na26 0.533 0.181 0.000 (multiplicity 1)
Na27 0.548 0.850 0.669 (multiplicity 1)
Na28 0.669 0.349 0.915 (multiplicity 1)
Na29 0.671 0.675 0.246 (multiplicity 1)
Na30 0.679 0.013 0.088 (multiplicity 1)
Na31 0.679 0.013 0.584 (multiplicity 1)
Na32 0.683 0.673 0.750 (multiplicity 1)
Na33 0.689 0.348 0.420 (multiplicity 1)
Na34 0.807 0.180 0.500 (multiplicity 1)
Na35 0.810 0.844 0.166 (multiplicity 1)
Na36 0.860 0.830 0.832 (multiplicity 1)
Na37 0.864 0.492 0.499 (multiplicity 1)
Na38 0.864 0.531 0.167 (multiplicity 1)
Na39 0.865 0.863 0.501 (multiplicity 1)
Na40 0.867 0.160 0.166 (multiplicity 1)
Na41 0.868 0.195 0.834 (multiplicity 1)
Na42 0.987 0.029 0.669 (multiplicity 1)
Nb1 0.170 0.172 0.395 (multiplicity 1)
Nb2 0.177 0.179 0.603 (multiplicity 1)
Nb3 0.177 0.844 0.770 (multiplicity 1)
Nb4 0.180 0.846 0.064 (multiplicity 1)
Nb5 0.193 0.847 0.271 (multiplicity 1)
Nb6 0.670 0.348 0.770 (multiplicity 1)
Nb7 0.670 0.672 0.395 (multiplicity 1)
Nb8 0.676 0.345 0.063 (multiplicity 1)
Nb9 0.679 0.015 0.937 (multiplicity 1)
Nb10 0.679 0.679 0.602 (multiplicity 1)
Nb11 0.680 0.672 0.894 (multiplicity 1)
Nb12 0.693 0.347 0.271 (multiplicity 1)
Al1 0.169 0.518 0.439 (multiplicity 1)
Al2 0.175 0.520 0.227 (multiplicity 1)
Al3 0.180 0.845 0.563 (multiplicity 1)
Al4 0.181 0.181 0.102 (multiplicity 1)
Al5 0.183 0.518 0.727 (multiplicity 1)
Al6 0.188 0.515 0.939 (multiplicity 1)
Al7 0.189 0.175 0.901 (multiplicity 1)
Al8 0.669 0.018 0.439 (multiplicity 1)
Al9 0.675 0.021 0.228 (multiplicity 1)
Al10 0.678 0.015 0.729 (multiplicity 1)
Al11 0.680 0.345 0.563 (multiplicity 1)
Al12 0.680 0.677 0.103 (multiplicity 1)
Si1 0.027 0.027 0.500 (multiplicity 1)
Si2 0.027 0.697 0.168 (multiplicity 1)
Si3 0.028 0.995 0.168 (multiplicity 1)
Si4 0.031 0.329 0.499 (multiplicity 1)
Si5 0.039 0.648 0.833 (multiplicity 1)
Si6 0.313 0.321 0.999 (multiplicity 1)
Si7 0.318 0.650 0.333 (multiplicity 1)
Si8 0.319 0.039 0.001 (multiplicity 1)
Si9 0.320 0.700 0.663 (multiplicity 1)
Si10 0.329 0.988 0.664 (multiplicity 1)
Si11 0.387 0.349 0.663 (multiplicity 1)
Si12 0.393 0.676 0.002 (multiplicity 1)
Si13 0.403 0.011 0.333 (multiplicity 1)
Si14 0.454 0.509 0.833 (multiplicity 1)
Si15 0.476 0.181 0.498 (multiplicity 1)
Si16 0.483 0.846 0.166 (multiplicity 1)
Si17 0.526 0.158 0.830 (multiplicity 1)
Si18 0.527 0.527 0.500 (multiplicity 1)
Si19 0.528 0.198 0.168 (multiplicity 1)
Si20 0.528 0.494 0.168 (multiplicity 1)
Si21 0.531 0.829 0.499 (multiplicity 1)
Si22 0.538 0.869 0.830 (multiplicity 1)
Si23 0.817 0.201 0.665 (multiplicity 1)
Si24 0.819 0.150 0.333 (multiplicity 1)
Si25 0.820 0.820 0.002 (multiplicity 1)
Si26 0.830 0.488 0.664 (multiplicity 1)
Si27 0.831 0.535 0.003 (multiplicity 1)
Si28 0.889 0.849 0.663 (multiplicity 1)
Si29 0.903 0.511 0.333 (multiplicity 1)
Si30 0.904 0.180 0.999 (multiplicity 1)
Si31 0.969 0.017 0.830 (multiplicity 1)
Si32 0.977 0.681 0.498 (multiplicity 1)
Si33 0.982 0.346 0.165 (multiplicity 1)
S1 0.040 0.369 0.833 (multiplicity 1)
S2 0.321 0.371 0.333 (multiplicity 1)
S3 0.820 0.870 0.333 (multiplicity 1)
O1 0.001 0.161 0.060 (multiplicity 1)
O2 0.001 0.195 0.938 (multiplicity 1)
O3 0.001 0.528 0.273 (multiplicity 1)
O4 0.002 0.167 0.338 (multiplicity 1)
O5 0.003 0.192 0.661 (multiplicity 1)
O6 0.004 0.832 0.004 (multiplicity 1)
O7 0.009 0.499 0.674 (multiplicity 1)
O8 0.009 0.521 0.991 (multiplicity 1)
O9 0.056 0.094 0.558 (multiplicity 1)
O10 0.059 0.762 0.226 (multiplicity 1)
O11 0.059 0.931 0.108 (multiplicity 1)
O12 0.067 0.260 0.443 (multiplicity 1)
O13 0.068 0.421 0.889 (multiplicity 1)
O14 0.070 0.596 0.771 (multiplicity 1)
O15 0.073 0.928 0.829 (multiplicity 1)
O16 0.075 0.102 0.839 (multiplicity 1)
O17 0.075 0.593 0.495 (multiplicity 1)
O18 0.076 0.258 0.160 (multiplicity 1)
O19 0.076 0.767 0.506 (multiplicity 1)
O20 0.080 0.432 0.175 (multiplicity 1)
O21 0.097 0.410 0.777 (multiplicity 1)
O22 0.103 0.281 0.837 (multiplicity 1)
O23 0.110 0.087 0.161 (multiplicity 1)
O24 0.110 0.749 0.828 (multiplicity 1)
O25 0.111 0.604 0.171 (multiplicity 1)
O26 0.111 0.746 0.109 (multiplicity 1)
O27 0.112 0.281 0.558 (multiplicity 1)
O28 0.112 0.936 0.506 (multiplicity 1)
O29 0.113 0.608 0.894 (multiplicity 1)
O30 0.114 0.077 0.444 (multiplicity 1)
O31 0.114 0.942 0.223 (multiplicity 1)
O32 0.115 0.421 0.492 (multiplicity 1)
O33 0.240 0.748 0.328 (multiplicity 1)
O34 0.243 0.281 0.061 (multiplicity 1)
O35 0.244 0.075 0.939 (multiplicity 1)
O36 0.244 0.747 0.606 (multiplicity 1)
O37 0.245 0.419 0.992 (multiplicity 1)
O38 0.245 0.609 0.394 (multiplicity 1)
O39 0.246 0.945 0.725 (multiplicity 1)
O40 0.247 0.084 0.661 (multiplicity 1)
O41 0.249 0.604 0.670 (multiplicity 1)
O42 0.249 0.939 0.006 (multiplicity 1)
O43 0.256 0.280 0.336 (multiplicity 1)
O44 0.261 0.410 0.277 (multiplicity 1)
O45 0.278 0.431 0.675 (multiplicity 1)
O46 0.283 0.593 0.996 (multiplicity 1)
O47 0.286 0.260 0.661 (multiplicity 1)
O48 0.286 0.928 0.328 (multiplicity 1)
O49 0.287 0.764 0.005 (multiplicity 1)
O50 0.290 0.596 0.271 (multiplicity 1)
O51 0.291 0.420 0.389 (multiplicity 1)
O52 0.294 0.100 0.338 (multiplicity 1)
O53 0.295 0.255 0.942 (multiplicity 1)
O54 0.296 0.097 0.061 (multiplicity 1)
O55 0.296 0.927 0.606 (multiplicity 1)
O56 0.297 0.761 0.725 (multiplicity 1)
O57 0.347 0.166 0.840 (multiplicity 1)
O58 0.348 0.191 0.161 (multiplicity 1)
O59 0.348 0.498 0.174 (multiplicity 1)
O60 0.348 0.522 0.491 (multiplicity 1)
O61 0.351 0.833 0.506 (multiplicity 1)
O62 0.354 0.859 0.829 (multiplicity 1)
O63 0.357 0.526 0.772 (multiplicity 1)
O64 0.361 0.163 0.557 (multiplicity 1)
O65 0.361 0.499 0.895 (multiplicity 1)
O66 0.363 0.828 0.223 (multiplicity 1)
O67 0.364 0.197 0.440 (multiplicity 1)
O68 0.369 0.864 0.108 (multiplicity 1)
O69 0.488 0.358 0.330 (multiplicity 1)
O70 0.495 0.366 0.606 (multiplicity 1)
O71 0.495 0.696 0.941 (multiplicity 1)
O72 0.497 0.328 0.723 (multiplicity 1)
O73 0.497 0.999 0.395 (multiplicity 1)
O74 0.500 0.662 0.060 (multiplicity 1)
O75 0.501 0.027 0.273 (multiplicity 1)
O76 0.501 0.333 0.005 (multiplicity 1)
O77 0.502 0.667 0.338 (multiplicity 1)
O78 0.503 0.025 0.996 (multiplicity 1)
O79 0.504 0.692 0.662 (multiplicity 1)
O80 0.507 0.000 0.673 (multiplicity 1)
O81 0.556 0.594 0.558 (multiplicity 1)
O82 0.560 0.262 0.226 (multiplicity 1)
O83 0.560 0.430 0.108 (multiplicity 1)
O84 0.561 0.096 0.773 (multiplicity 1)
O85 0.564 0.597 0.838 (multiplicity 1)
O86 0.564 0.927 0.892 (multiplicity 1)
O87 0.566 0.760 0.443 (multiplicity 1)
O88 0.573 0.427 0.828 (multiplicity 1)
O89 0.575 0.093 0.495 (multiplicity 1)
O90 0.576 0.267 0.506 (multiplicity 1)
O91 0.577 0.758 0.160 (multiplicity 1)
O92 0.581 0.932 0.175 (multiplicity 1)
O93 0.608 0.112 0.891 (multiplicity 1)
O94 0.610 0.104 0.171 (multiplicity 1)
O95 0.610 0.772 0.836 (multiplicity 1)
O96 0.611 0.245 0.109 (multiplicity 1)
O97 0.611 0.587 0.161 (multiplicity 1)
O98 0.612 0.436 0.506 (multiplicity 1)
O99 0.612 0.781 0.558 (multiplicity 1)
O100 0.613 0.915 0.772 (multiplicity 1)
O101 0.614 0.443 0.223 (multiplicity 1)
O102 0.614 0.577 0.444 (multiplicity 1)
O103 0.615 0.921 0.492 (multiplicity 1)
O104 0.619 0.251 0.829 (multiplicity 1)
O105 0.740 0.249 0.328 (multiplicity 1)
O106 0.743 0.247 0.607 (multiplicity 1)
O107 0.744 0.444 0.723 (multiplicity 1)
O108 0.744 0.777 0.061 (multiplicity 1)
O109 0.745 0.109 0.394 (multiplicity 1)
O110 0.745 0.580 0.944 (multiplicity 1)
O111 0.747 0.105 0.673 (multiplicity 1)
O112 0.748 0.440 0.005 (multiplicity 1)
O113 0.749 0.918 0.996 (multiplicity 1)
O114 0.750 0.584 0.661 (multiplicity 1)
O115 0.756 0.780 0.336 (multiplicity 1)
O116 0.761 0.910 0.277 (multiplicity 1)
O117 0.782 0.933 0.672 (multiplicity 1)
O118 0.786 0.428 0.328 (multiplicity 1)
O119 0.787 0.760 0.661 (multiplicity 1)
O120 0.788 0.095 0.994 (multiplicity 1)
O121 0.788 0.264 0.005 (multiplicity 1)
O122 0.790 0.096 0.271 (multiplicity 1)
O123 0.791 0.920 0.389 (multiplicity 1)
O124 0.794 0.600 0.338 (multiplicity 1)
O125 0.795 0.763 0.940 (multiplicity 1)
O126 0.799 0.263 0.726 (multiplicity 1)
O127 0.799 0.428 0.605 (multiplicity 1)
O128 0.801 0.596 0.061 (multiplicity 1)
O129 0.847 0.998 0.174 (multiplicity 1)
O130 0.848 0.021 0.490 (multiplicity 1)
O131 0.848 0.691 0.160 (multiplicity 1)
O132 0.851 0.333 0.506 (multiplicity 1)
O133 0.856 0.668 0.837 (multiplicity 1)
O134 0.861 0.029 0.773 (multiplicity 1)
O135 0.862 0.663 0.557 (multiplicity 1)
O136 0.864 0.328 0.222 (multiplicity 1)
O137 0.864 0.697 0.440 (multiplicity 1)
O138 0.864 0.997 0.892 (multiplicity 1)
O139 0.867 0.364 0.108 (multiplicity 1)
O140 0.871 0.359 0.830 (multiplicity 1)
O141 0.988 0.858 0.330 (multiplicity 1)
O142 0.993 0.829 0.725 (multiplicity 1)
O143 0.997 0.499 0.395 (multiplicity 1)
O144 0.998 0.863 0.606 (multiplicity 1)

energy of formation	-236.8	eV/f.u.
total moment	0.00	μB per formula unit
total DFT energy (no corrections)	-7.061	eV per atom

=====

This record from the Materials Project describes a geometry-optimized MgTa3 structure. The functional is PBE-GGA.

Cell lengths 4.280, 4.280, 8.107 Å; angles 90.00, 90.00, 90.00 degrees
Space group I4/mmm (No. 139)
Asymmetric unit:
Mg1 0.000 0.000 0.000 (multiplicity 2)
Ta1 0.000 0.000 0.500 (multiplicity 2)
Ta2 0.000 0.500 0.250 (multiplicity 4)

energy relative to the lowest polymorph listed for this composition	0.010	eV per atom
energy of formation	1.2	eV/f.u.
total moment	0.00	μB per formula unit
total DFT energy (no corrections)	-8.986	eV per atom

=====

This record from the Materials Project describes a geometry-optimized Y4Si2Sn13Sb2O28 structure. The functional is PBE-GGA.

Cell lengths 6.291, 27.571, 9.806 Å; angles 90.00, 104.34, 90.00 degrees
Space group C2/m (No. 12)
Asymmetric unit:
Y1 0.233 0.210 0.143 (multiplicity 8)
Si1 0.169 0.500 0.214 (multiplicity 4)
Sn1 0.000 0.070 0.500 (multiplicity 4)
Sn2 0.000 0.200 0.500 (multiplicity 4)
Sn3 0.000 0.500 0.500 (multiplicity 2)
Sn4 0.230 0.072 0.165 (multiplicity 8)
Sn5 0.246 0.371 0.159 (multiplicity 8)
Sb1 0.000 0.357 0.500 (multiplicity 4)
O1 0.087 0.500 0.765 (multiplicity 4)
O2 0.100 0.362 0.886 (multiplicity 8)
O3 0.116 0.223 0.889 (multiplicity 8)
O4 0.167 0.000 0.623 (multiplicity 4)
O5 0.170 0.414 0.613 (multiplicity 8)
O6 0.196 0.309 0.625 (multiplicity 8)
O7 0.197 0.449 0.137 (multiplicity 8)
O8 0.242 0.356 0.389 (multiplicity 8)

energy of formation	-107.3	eV/f.u.
total moment	0.01	μB per formula unit
total DFT energy (no corrections)	-6.607	eV per atom

=====

This record from the Materials Project describes a geometry-optimized Nb3In structure. The functional is PBE-GGA.

Cell lengths 3.471, 4.687, 9.467 Å; angles 90.00, 90.00, 90.00 degrees
Space group Cmmm (No. 65)
Asymmetric unit:
Nb1 0.000 0.000 0.000 (multiplicity 2)
Nb2 0.000 0.500 0.241 (multiplicity 4)
In1 0.000 0.000 0.500 (multiplicity 2)

energy of formation	0.2	eV/f.u.
total DFT energy (no corrections)	-8.211	eV per atom